(1)
Lu2Co3Si5 | PBE | optimized geometry

Cell lengths 7.774, 7.774, 5.429 Å; angles 71.06, 71.06, 93.70 degrees
Fractional positions:
1 Si 0.773 0.227 0.250
2 Si 0.932 0.736 0.667
3 Si 0.227 0.773 0.750
4 Si 0.068 0.264 0.333
5 Si 0.488 0.512 0.750
6 Si 0.736 0.932 0.167
7 Si 0.512 0.488 0.250
8 Si 0.788 0.212 0.750
9 Si 0.264 0.068 0.833
10 Si 0.212 0.788 0.250
11 Co 0.541 0.262 0.626
12 Co 0.262 0.541 0.126
13 Co 0.738 0.459 0.874
14 Co 0.997 0.003 0.750
15 Co 0.459 0.738 0.374
16 Co 0.003 0.997 0.250
17 Lu 0.406 0.130 0.235
18 Lu 0.594 0.870 0.765
19 Lu 0.130 0.406 0.735
20 Lu 0.870 0.594 0.265

Results
energy with MP2020 corrections: -6.48 eV/atom
calculated total energy: -6.512 eV/atom
formation enthalpy at 0 K: -0.727 eV/atom



(2)
LuCoSi | PBE | optimized geometry

Cell lengths 4.103, 6.697, 6.959 Å; angles 90.00, 90.00, 90.00 degrees
Fractional positions:
1 Lu 0.250 0.486 0.193
2 Lu 0.250 0.986 0.307
3 Lu 0.750 0.014 0.693
4 Lu 0.750 0.514 0.807
5 Co 0.250 0.648 0.560
6 Co 0.250 0.148 0.940
7 Co 0.750 0.352 0.440
8 Co 0.750 0.852 0.060
9 Si 0.750 0.699 0.392
10 Si 0.750 0.199 0.108
11 Si 0.250 0.801 0.892
12 Si 0.250 0.301 0.608

Results
energy with MP2020 corrections: -6.44 eV/atom
calculated total energy: -6.462 eV/atom
formation enthalpy at 0 K: -0.753 eV/atom



(3)
Lu2Co3Si5 | PBE | optimized geometry

Cell lengths 7.808, 7.808, 7.808 Å; angles 138.91, 104.79, 89.49 degrees
Fractional positions:
1 Si 0.500 0.750 0.250
2 Si 0.259 0.602 0.658
3 Si 0.944 0.102 0.842
4 Si 0.741 0.398 0.342
5 Si 0.771 0.021 0.250
6 Si 0.229 0.979 0.750
7 Si 0.771 0.521 0.750
8 Si 0.229 0.479 0.250
9 Si 0.056 0.898 0.158
10 Si 0.500 0.250 0.750
11 Co 0.476 0.363 0.113
12 Co 0.000 0.250 0.250
13 Co 0.524 0.637 0.887
14 Co 0.000 0.750 0.750
15 Co 0.250 0.863 0.387
16 Co 0.750 0.137 0.613
17 Lu 0.601 0.866 0.735
18 Lu 0.132 0.366 0.765
19 Lu 0.399 0.134 0.265
20 Lu 0.868 0.634 0.235

Results
energy with MP2020 corrections: -6.47 eV/atom
calculated total energy: -6.504 eV/atom
formation enthalpy at 0 K: -0.720 eV/atom



(4)
Lu5Co4Si14 | PBE | optimized geometry

Cell lengths 7.758, 7.682, 12.244 Å; angles 81.18, 90.00, 90.00 degrees
Fractional positions:
1 Lu 0.752 0.842 0.635
2 Lu 0.252 0.658 0.365
3 Lu 0.751 0.660 0.365
4 Lu 0.749 0.160 0.365
5 Lu 0.248 0.158 0.365
6 Lu 0.000 0.500 0.000
7 Lu 0.748 0.342 0.635
8 Lu 0.249 0.340 0.635
9 Lu 0.251 0.840 0.635
10 Lu 0.500 0.000 0.000
11 Co 0.873 0.128 0.000
12 Co 0.627 0.628 0.000
13 Co 0.500 0.939 0.250
14 Co 0.000 0.439 0.250
15 Co 0.500 0.061 0.750
16 Co 0.127 0.872 0.000
17 Co 0.373 0.372 0.000
18 Co 0.000 0.561 0.750
19 Si 0.994 0.182 0.179
20 Si 0.834 0.834 0.000
21 Si 0.274 0.450 0.178
22 Si 0.000 0.610 0.560
23 Si 0.774 0.050 0.822
24 Si 0.995 0.269 0.822
25 Si 0.500 0.110 0.560
26 Si 0.495 0.231 0.178
27 Si 0.726 0.462 0.178
28 Si 0.226 0.038 0.822
29 Si 0.505 0.769 0.822
30 Si 0.334 0.666 0.000
31 Si 0.506 0.682 0.179
32 Si 0.494 0.318 0.821
33 Si 0.226 0.950 0.178
34 Si 0.006 0.818 0.821
35 Si 0.000 0.111 0.561
36 Si 0.500 0.611 0.561
37 Si 0.500 0.890 0.440
38 Si 0.005 0.731 0.178
39 Si 0.000 0.390 0.440
40 Si 0.274 0.538 0.822
41 Si 0.500 0.389 0.439
42 Si 0.726 0.550 0.822
43 Si 0.000 0.889 0.439
44 Si 0.166 0.166 0.000
45 Si 0.774 0.962 0.178
46 Si 0.666 0.334 0.000

Results
energy with MP2020 corrections: -6.13 eV/atom
calculated total energy: -6.169 eV/atom
formation enthalpy at 0 K: -0.604 eV/atom



(5)
Lu6Co2Sn | PBE | optimized geometry

Cell lengths 8.165, 8.165, 8.165 Å; angles 111.36, 110.26, 106.83 degrees
Fractional positions:
1 Co 0.637 0.000 0.637
2 Co 0.363 0.000 0.363
3 Co 0.114 0.614 0.500
4 Co 0.886 0.386 0.500
5 Lu 0.553 0.764 0.789
6 Lu 0.185 0.285 0.470
7 Lu 0.815 0.715 0.530
8 Lu 0.185 0.715 0.899
9 Lu 0.320 0.012 0.692
10 Lu 0.447 0.236 0.211
11 Lu 0.975 0.764 0.211
12 Lu 0.680 0.371 0.692
13 Lu 0.680 0.988 0.308
14 Lu 0.815 0.285 0.101
15 Lu 0.025 0.236 0.789
16 Lu 0.320 0.629 0.308
17 Sn 0.000 0.000 0.000
18 Sn 0.500 0.500 0.000

Results
calculated total energy: -5.418 eV/atom
formation enthalpy at 0 K: -0.378 eV/atom



(6)
LuCoSn | PBE | optimized geometry

Cell lengths 4.450, 6.922, 7.561 Å; angles 90.00, 90.00, 90.00 degrees
Fractional positions:
1 Sn 0.250 0.306 0.588
2 Sn 0.250 0.806 0.912
3 Sn 0.750 0.694 0.412
4 Sn 0.750 0.194 0.088
5 Co 0.750 0.304 0.416
6 Co 0.750 0.804 0.084
7 Co 0.250 0.696 0.584
8 Co 0.250 0.196 0.916
9 Lu 0.750 0.513 0.798
10 Lu 0.750 0.013 0.702
11 Lu 0.250 0.987 0.298
12 Lu 0.250 0.487 0.202

Results
calculated total energy: -5.685 eV/atom
formation enthalpy at 0 K: -0.472 eV/atom